The following is a DFT calculation (PBE) of an optimized crystal structure of KCu7TeS5ClO24.

Energy   -216.3 eV/f.u.
Mass density   3845 kg/m³
Volume   2058 Å³ per cell

a b c (Å): 9.9471 9.9471 20.7988
angles (deg): 90.00 90.00 90.00
Element x y z (fractional)
O (0.3591, 0.1149, 0.9506)
O (0.0868, 0.3201, 0.8077)
O (0.8349, 0.1082, 0.3438)
O (0.8201, 0.5868, 0.3077)
O (0.7953, 0.3532, 0.9206)
S (0.6827, 0.2434, 0.6473)
O (0.1468, 0.2953, 0.9206)
O (0.0790, 0.0951, 0.0404)
O (0.3532, 0.2047, 0.0794)
Cu (0.2500, 0.2500, 0.0000)
S (0.8173, 0.7434, 0.8527)
O (0.1082, 0.1651, 0.6562)
O (0.5868, 0.1799, 0.6923)
K (0.0000, 0.0000, 0.2500)
Cu (0.7337, 0.0239, 0.8951)
O (0.8532, 0.2953, 0.4206)
S (0.5000, 0.5000, 0.0000)
O (0.3851, 0.1409, 0.4506)
S (0.7566, 0.3173, 0.8527)
O (0.1409, 0.6149, 0.5494)
O (0.0868, 0.6799, 0.3077)
S (0.6827, 0.7566, 0.1473)
Cu (0.9761, 0.7337, 0.1049)
O (0.5868, 0.8201, 0.1923)
O (0.8851, 0.3591, 0.0494)
O (0.1651, 0.8918, 0.3438)
O (0.5951, 0.5790, 0.5404)
O (0.6468, 0.7953, 0.0794)
O (0.9132, 0.3201, 0.3077)
O (0.5790, 0.4049, 0.4596)
O (0.8232, 0.2032, 0.6621)
Cu (0.2337, 0.5239, 0.1049)
O (0.8851, 0.6409, 0.5494)
Te (0.0000, 0.5000, 0.0024)
Cu (0.2500, 0.7500, 0.5000)
O (0.6082, 0.3349, 0.8438)
O (0.9049, 0.0790, 0.9596)
O (0.8532, 0.7047, 0.9206)
O (0.1082, 0.8349, 0.1562)
O (0.7047, 0.1468, 0.0794)
O (0.1651, 0.1082, 0.8438)
O (0.9210, 0.9049, 0.0404)
S (0.7566, 0.6827, 0.3527)
O (0.7968, 0.8232, 0.3379)
O (0.7047, 0.8532, 0.5794)
Cu (0.2663, 0.0239, 0.3951)
S (0.1827, 0.2566, 0.8527)
O (0.3232, 0.2968, 0.8379)
O (0.8591, 0.3851, 0.5494)
S (0.7434, 0.8173, 0.6473)
Te (0.0000, 0.5000, 0.5024)
O (0.3349, 0.6082, 0.6562)
O (0.4210, 0.5951, 0.4596)
O (0.3918, 0.6651, 0.8438)
O (0.9049, 0.9210, 0.4596)
Cu (0.0239, 0.2663, 0.1049)
O (0.4132, 0.1799, 0.1923)
O (0.4210, 0.4049, 0.9596)
Cl (0.0000, 0.5000, 0.1774)
O (0.4049, 0.4210, 0.5404)
O (0.6651, 0.6082, 0.1562)
Cu (0.5000, 0.0000, 0.6992)
O (0.3918, 0.3349, 0.3438)
O (0.6799, 0.9132, 0.6923)
S (0.7434, 0.1827, 0.1473)
O (0.8349, 0.8918, 0.8438)
O (0.6768, 0.7032, 0.8379)
O (0.3532, 0.7953, 0.5794)
Cu (0.0000, 0.5000, 0.3008)
Cu (0.7500, 0.2500, 0.0000)
Cu (0.2500, 0.7500, 0.0000)
Cu (0.4761, 0.2337, 0.8951)
O (0.8918, 0.1651, 0.1562)
S (0.2566, 0.1827, 0.6473)
O (0.6149, 0.8591, 0.4506)
Cu (0.2500, 0.2500, 0.5000)
Cl (0.5000, 0.0000, 0.8226)
Te (0.5000, 0.0000, 0.4976)
O (0.6409, 0.8851, 0.9506)
Cu (0.5239, 0.2337, 0.3951)
O (0.1768, 0.2032, 0.1621)
S (0.8173, 0.2566, 0.3527)
Te (0.5000, 0.0000, 0.9976)
O (0.4049, 0.5790, 0.0404)
O (0.1799, 0.4132, 0.3077)
O (0.0790, 0.9049, 0.5404)
S (0.2434, 0.3173, 0.3527)
O (0.1149, 0.3591, 0.5494)
O (0.5790, 0.5951, 0.9596)
O (0.6082, 0.6651, 0.3438)
Cu (0.0239, 0.7337, 0.6049)
O (0.1768, 0.7968, 0.6621)
Cl (0.0000, 0.5000, 0.6774)
S (0.3173, 0.2434, 0.1473)
Cu (0.7663, 0.4761, 0.1049)
O (0.5951, 0.4210, 0.0404)
K (0.5000, 0.5000, 0.2500)
O (0.1409, 0.3851, 0.0494)
O (0.7032, 0.6768, 0.6621)
O (0.2032, 0.1768, 0.3379)
S (0.3173, 0.7566, 0.6473)
O (0.2032, 0.8232, 0.8379)
O (0.8918, 0.8349, 0.6562)
S (0.0000, 0.0000, 0.5000)
O (0.0951, 0.0790, 0.4596)
O (0.8201, 0.4132, 0.8077)
O (0.2047, 0.3532, 0.4206)
O (0.1799, 0.5868, 0.8077)
O (0.6651, 0.3918, 0.6562)
Cu (0.4761, 0.7663, 0.3951)
O (0.3851, 0.8591, 0.9506)
Cu (0.2663, 0.9761, 0.8951)
O (0.4132, 0.8201, 0.6923)
K (0.0000, 0.0000, 0.7500)
Cu (0.7663, 0.5239, 0.6049)
S (0.5000, 0.5000, 0.5000)
K (0.5000, 0.5000, 0.7500)
S (0.0000, 0.0000, 0.0000)
Cu (0.7500, 0.7500, 0.0000)
Cu (0.7337, 0.9761, 0.3951)
O (0.2047, 0.6468, 0.9206)
O (0.2968, 0.3232, 0.6621)
O (0.6799, 0.0868, 0.1923)
O (0.7968, 0.1768, 0.8379)
O (0.6149, 0.1409, 0.9506)
Cl (0.5000, 0.0000, 0.3226)
S (0.1827, 0.7434, 0.3527)
O (0.2953, 0.1468, 0.5794)
Cu (0.5000, 0.0000, 0.1992)
O (0.7032, 0.3232, 0.1621)
Cu (0.0000, 0.5000, 0.8008)
O (0.0951, 0.9210, 0.9596)
O (0.8232, 0.7968, 0.1621)
O (0.3591, 0.8851, 0.4506)
O (0.3201, 0.9132, 0.1923)
S (0.2566, 0.8173, 0.1473)
O (0.3349, 0.3918, 0.1562)
S (0.2434, 0.6827, 0.8527)
O (0.6468, 0.2047, 0.5794)
O (0.9132, 0.6799, 0.8077)
O (0.3201, 0.0868, 0.6923)
Cu (0.5239, 0.7663, 0.8951)
O (0.6409, 0.1149, 0.4506)
Cu (0.7500, 0.7500, 0.5000)
O (0.2953, 0.8532, 0.0794)
Cu (0.7500, 0.2500, 0.5000)
O (0.6768, 0.2968, 0.3379)
O (0.1149, 0.6409, 0.0494)
O (0.9210, 0.0951, 0.5404)
O (0.2968, 0.6768, 0.1621)
Cu (0.2337, 0.4761, 0.6049)
O (0.7953, 0.6468, 0.4206)
O (0.3232, 0.7032, 0.3379)
O (0.1468, 0.7047, 0.4206)
Cu (0.9761, 0.2663, 0.6049)
O (0.8591, 0.6149, 0.0494)